Record 1
The following is a GGA-PBE calculation of LiIn4Ge4O14 after structural relaxation, from Materials Project.

## Properties
- E (eV per atom) = -5.89
- SG = Imm2
- energy above the most stable polymorph in this dataset (meV per atom) = 26.5

Unit cell a=7.110 b=7.110 c=7.117 alpha=59.97 beta=59.97 gamma=59.93
Fractional positions:
Li  0.123  0.123  0.127
In  0.500  0.500  0.000
In  0.500  0.000  0.500
In  0.000  0.500  0.500
In  0.500  0.500  0.500
Ge  0.993  0.993  0.520
Ge  0.994  0.518  0.994
Ge  0.518  0.994  0.994
Ge  0.993  0.993  0.993
O  0.375  0.375  0.375
O  0.625  0.625  0.625
O  0.325  0.925  0.925
O  0.925  0.325  0.325
O  0.925  0.325  0.925
O  0.325  0.925  0.325
O  0.925  0.925  0.325
O  0.324  0.324  0.926
O  0.673  0.076  0.076
O  0.076  0.673  0.674
O  0.076  0.673  0.076
O  0.673  0.076  0.674
O  0.076  0.076  0.674
O  0.674  0.674  0.076

Record 2
The following is a GGA-PBE calculation of Te2Mo3WSe6 after structural relaxation, from Materials Project.

## Properties
- E (eV per atom) = -6.59
- SG = P3m1
- energy above the most stable polymorph in this dataset (meV per atom) = 0.1

Unit cell a=3.383 b=3.383 c=38.456 alpha=90.00 beta=90.00 gamma=120.00
Fractional positions:
Te  0.333  0.667  0.331
Te  0.333  0.667  0.233
Mo  0.333  0.667  0.094
Mo  0.333  0.667  0.470
Mo  0.667  0.333  0.282
W  0.667  0.333  0.658
Se  0.333  0.667  0.701
Se  0.667  0.333  0.051
Se  0.667  0.333  0.427
Se  0.667  0.333  0.137
Se  0.667  0.333  0.513
Se  0.333  0.667  0.614

Record 3
The following is a GGA-PBE calculation of In2Bi after structural relaxation, from Materials Project.

## Properties
- E (eV per atom) = -3.04
- SG = P6/mmm

Unit cell a=5.612 b=5.612 c=3.308 alpha=90.00 beta=90.00 gamma=120.00
Fractional positions:
In  0.333  0.667  0.500
In  0.667  0.333  0.500
Bi  0.000  0.000  0.000